[1]
Below is Y2Ga8Co after structural relaxation, with properties calculated at the PBE level.

Geometry as POSCAR:
```
Y2Ga8Co
1.0
4.267 0.000 0.000
0.000 4.267 0.000
0.000 0.000 11.078
Y Ga Co
2 8 1
direct
0.000 0.000 0.194
0.000 0.000 0.806
0.000 0.500 0.000
0.000 0.500 0.384
0.000 0.500 0.616
0.500 0.000 0.000
0.500 0.000 0.384
0.500 0.000 0.616
0.500 0.500 0.202
0.500 0.500 0.798
0.000 0.000 0.500
```

Computed properties:
Calculated formation energy = -517 kJ/mol of formula units
Space group = P4/mmm (123)
Total energy = -4.511 eV per atom

***

[2]
Below is Y10Ga3Co7 after structural relaxation, with properties calculated at the PBE level.

Geometry as POSCAR:
```
Y10Ga3Co7
1.0
3.945 0.000 0.000
0.000 9.550 0.000
0.000 0.000 23.080
Y Ga Co
20 6 14
direct
0.000 0.003 0.000
0.000 0.160 0.640
0.000 0.191 0.355
0.000 0.368 0.508
0.000 0.400 0.176
0.000 0.600 0.676
0.000 0.632 0.008
0.000 0.809 0.855
0.000 0.840 0.140
0.000 0.997 0.500
0.500 0.104 0.217
0.500 0.129 0.880
0.500 0.303 0.051
0.500 0.341 0.752
0.500 0.489 0.390
0.500 0.511 0.890
0.500 0.659 0.252
0.500 0.697 0.551
0.500 0.871 0.380
0.500 0.896 0.717
0.000 0.097 0.778
0.000 0.314 0.951
0.000 0.686 0.451
0.000 0.903 0.278
0.500 0.401 0.613
0.500 0.599 0.113
0.000 0.137 0.119
0.000 0.318 0.842
0.000 0.458 0.298
0.000 0.542 0.798
0.000 0.682 0.342
0.000 0.863 0.619
0.500 0.035 0.096
0.500 0.182 0.549
0.500 0.191 0.448
0.500 0.364 0.277
0.500 0.636 0.777
0.500 0.809 0.948
0.500 0.818 0.049
0.500 0.965 0.596
```

Computed properties:
Calculated formation energy = -672 kJ/mol of formula units
Total magnetization = 1.1 μB per formula unit
Space group = Pmc2_1 (26)
Total energy = -6.524 eV per atom

***

[3]
Below is ZnGaCo2 after structural relaxation, with properties calculated at the PBE level.

Geometry as POSCAR:
```
ZnGaCo2
1.0
0.000 2.879 2.879
2.879 0.000 2.879
2.879 2.879 0.000
Zn Ga Co
1 1 2
direct
0.000 0.000 0.000
0.500 0.500 0.500
0.250 0.250 0.250
0.750 0.750 0.750
```

Computed properties:
Calculated formation energy = -68 kJ/mol of formula units
Space group = Fm-3m (225)
Total energy = -4.803 eV per atom

***

[4]
Below is Zr2GaCo3 after structural relaxation, with properties calculated at the PBE level.

Geometry as POSCAR:
```
Zr2GaCo3
1.0
5.092 0.000 0.000
-2.546 4.410 0.000
0.000 0.000 7.795
Zr Ga Co
4 2 6
direct
0.333 0.667 0.061
0.333 0.667 0.439
0.667 0.333 0.561
0.667 0.333 0.939
0.000 0.000 0.000
0.000 0.000 0.500
0.172 0.344 0.750
0.172 0.828 0.750
0.344 0.172 0.250
0.656 0.828 0.750
0.828 0.172 0.250
0.828 0.656 0.250
```

Computed properties:
Calculated formation energy = -247 kJ/mol of formula units
Space group = P6_3/mmc (194)
Total energy = -7.335 eV per atom

***

[5]
Below is ZrGaCo after structural relaxation, with properties calculated at the PBE level.

Geometry as POSCAR:
```
ZrGaCo
1.0
6.978 0.000 0.000
-3.489 6.043 0.000
0.000 0.000 3.324
Zr Ga Co
3 3 3
direct
0.000 0.598 0.000
0.402 0.402 0.000
0.598 0.000 0.000
0.000 0.263 0.500
0.263 0.000 0.500
0.737 0.737 0.500
0.000 0.000 0.000
0.333 0.667 0.500
0.667 0.333 0.500
```

Computed properties:
Calculated formation energy = -160 kJ/mol of formula units
Space group = P-62m (189)
Total energy = -6.782 eV per atom

***

[6]
Below is ZrGa6Co6 after structural relaxation, with properties calculated at the PBE level.

Geometry as POSCAR:
```
ZrGa6Co6
1.0
-2.545 3.985 4.292
2.545 -3.985 4.292
2.545 3.985 -4.292
Zr Ga Co
1 6 6
direct
0.000 0.000 0.000
0.000 0.000 0.500
0.000 0.500 0.000
0.210 0.500 0.710
0.500 0.000 0.000
0.500 0.500 0.500
0.790 0.500 0.290
0.219 0.719 0.500
0.347 0.000 0.347
0.356 0.356 0.000
0.644 0.644 0.000
0.653 0.000 0.653
0.781 0.281 0.500
```

Computed properties:
Calculated formation energy = -126 kJ/mol of formula units
Total magnetization = 0.9 μB per formula unit
Space group = Immm (71)
Total energy = -5.436 eV per atom

***

[7]
Below is Gd4Co3 after structural relaxation, with properties calculated at the PBE level.

Geometry as POSCAR:
```
Gd4Co3
1.0
11.328 0.000 0.000
-5.664 9.810 0.000
0.000 0.000 4.079
Gd Co
12 9
direct
0.019 0.777 0.250
0.135 0.514 0.249
0.223 0.242 0.250
0.242 0.019 0.750
0.379 0.865 0.249
0.486 0.621 0.249
0.514 0.379 0.751
0.621 0.135 0.751
0.758 0.981 0.250
0.777 0.758 0.750
0.865 0.486 0.751
0.981 0.223 0.750
0.000 0.000 0.000
0.153 0.718 0.754
0.282 0.435 0.754
0.333 0.667 0.747
0.435 0.153 0.246
0.565 0.847 0.754
0.667 0.333 0.253
0.718 0.565 0.246
0.847 0.282 0.246
```

Computed properties:
Calculated formation energy = -91 kJ/mol of formula units
Total magnetization = 0.0 μB per formula unit
Space group = P-3 (147)
Total energy = -11.224 eV per atom

***

[8]
Below is Gd2Co17 after structural relaxation, with properties calculated at the PBE level.

Geometry as POSCAR:
```
Gd2Co17
1.0
4.164 -7.194 0.000
4.164 7.194 0.000
0.000 0.000 8.114
Gd Co
4 34
direct
0.000 0.000 0.250
0.000 0.000 0.750
0.333 0.667 0.750
0.667 0.333 0.250
0.000 0.500 0.000
0.000 0.500 0.500
0.048 0.378 0.250
0.048 0.671 0.250
0.167 0.334 0.522
0.167 0.334 0.978
0.167 0.833 0.522
0.167 0.833 0.978
0.329 0.377 0.250
0.329 0.952 0.250
0.333 0.667 0.106
0.333 0.667 0.394
0.334 0.167 0.022
0.334 0.167 0.478
0.377 0.329 0.750
0.378 0.048 0.750
0.500 0.000 0.000
0.500 0.000 0.500
0.500 0.500 0.000
0.500 0.500 0.500
0.622 0.952 0.250
0.623 0.671 0.250
0.666 0.833 0.522
0.666 0.833 0.978
0.667 0.333 0.606
0.667 0.333 0.894
0.671 0.048 0.750
0.671 0.623 0.750
0.833 0.167 0.022
0.833 0.167 0.478
0.833 0.666 0.022
0.833 0.666 0.478
0.952 0.329 0.750
0.952 0.622 0.750
```

Computed properties:
Calculated formation energy = 1226 kJ/mol of formula units
Total magnetization = 28.1 μB per formula unit
Space group = Cmcm (63)
Total energy = -7.173 eV per atom